Compound: Sr12Zn2Co6O25
Source: the Materials Project database
Functional: GGA+U
Structure: optimized geometry

Output
For the corrected total energy (MP2020 scheme), the calculation gives -293.64 eV per formula unit. The value obtained for the total energy is -5.9254 eV per atom. The calculation puts the total magnetization at 20.00 μB/f.u. As for the space group: C2/m (12).

Unit cell a=7.8538 b=7.8538 c=10.4088 alpha=79.10 beta=79.10 gamma=90.00
Fractional positions:
O (0.3987, 0.9037, 0.3949)
O (0.4577, 0.7207, 0.1668)
O (0.2180, 0.9553, 0.1817)
O (0.0963, 0.6013, 0.6051)
O (0.5422, 0.8038, 0.8336)
O (0.7820, 0.0447, 0.8183)
O (0.5423, 0.2793, 0.8332)
O (0.3966, 0.3966, 0.3991)
O (0.0448, 0.3091, 0.8177)
O (0.9081, 0.9081, 0.3757)
O (0.6013, 0.0963, 0.6051)
O (0.7207, 0.4577, 0.1668)
O (0.4578, 0.1962, 0.1664)
O (0.2793, 0.5423, 0.8332)
O (0.0919, 0.0919, 0.6243)
O (0.0000, 0.0000, 0.0000)
O (0.1962, 0.4578, 0.1664)
O (0.9552, 0.6909, 0.1823)
O (0.9037, 0.3987, 0.3949)
O (0.0447, 0.7820, 0.8183)
O (0.9553, 0.2180, 0.1817)
O (0.6909, 0.9552, 0.1823)
O (0.3091, 0.0448, 0.8177)
O (0.6034, 0.6034, 0.6009)
O (0.8038, 0.5422, 0.8336)
Sr (0.3429, 0.8349, 0.6451)
Sr (0.6571, 0.1651, 0.3549)
Sr (0.2432, 0.2432, 0.9994)
Sr (0.3432, 0.3432, 0.6422)
Sr (0.7568, 0.7568, 0.0006)
Sr (0.1649, 0.1649, 0.3571)
Sr (0.7570, 0.2430, 0.0000)
Sr (0.8351, 0.8351, 0.6429)
Sr (0.1651, 0.6571, 0.3549)
Sr (0.8349, 0.3429, 0.6451)
Sr (0.2430, 0.7570, 0.0000)
Sr (0.6568, 0.6568, 0.3578)
Zn (0.4495, 0.4495, 0.2027)
Zn (0.5505, 0.5505, 0.7973)
Co (0.5528, 0.0521, 0.7903)
Co (0.0481, 0.0481, 0.8071)
Co (0.9479, 0.4472, 0.2097)
Co (0.9519, 0.9519, 0.1929)
Co (0.4472, 0.9479, 0.2097)
Co (0.0521, 0.5528, 0.7903)